Here is a geometry-optimized CeP4NO12 structure from Materials Project. Energies are from PBE.

**ρ**: 3.184 g/cm³
**Formation enthalpy at 0 K**: -2.42 eV/atom
**Raw total energy**: -0.53327 Ry per atom

Cell: 7.9443 12.4818 10.5621 Å, 90.00 110.60 90.00°
With the nearest neighbours (Å) after each atom.
Space group C2/c (No. 15)
Unique sites:
Ce1 0.0000 0.1163 0.2500 (multiplicity 4)  8 O 2.33-2.43
P1 0.0431 0.3287 0.4992 (multiplicity 8)  4 O 1.50-1.62
P2 0.2171 0.4773 0.9413 (multiplicity 8)  4 O 1.50-1.61
N1 0.0000 0.1834 0.7500 (multiplicity 4)  6 O 2.82-3.00
O1 0.0506 0.2421 0.1002 (multiplicity 8)  1 P 1.51
O2 0.0687 0.4285 0.4101 (multiplicity 8)  2 P 1.61-1.62
O3 0.0981 0.3726 0.9352 (multiplicity 8)  2 P 1.60-1.61
O4 0.1480 0.0064 0.9185 (multiplicity 8)  1 P 1.50
O5 0.2151 0.3035 0.6127 (multiplicity 8)  1 P 1.50
O6 0.2181 0.0312 0.1753 (multiplicity 8)  1 P 1.50



Here is a geometry-optimized CeS4N4O18 structure from Materials Project. Energies are from PBE.

**ρ**: 2.137 g/cm³
**Formation enthalpy at 0 K**: -0.31 eV/atom
**Raw total energy**: -0.40966 Ry per atom

Cell: 12.7778 11.5214 13.9379 Å, 90.00 111.92 90.00°
With the nearest neighbours (Å) after each atom.
Space group P2_1/c (No. 14)
Unique sites:
Ce1 0.2124 0.0506 0.1198 (multiplicity 4)  9 O 2.32-2.50
S1 0.0854 0.5962 0.4264 (multiplicity 4)  4 O 1.45-1.51
S2 0.2116 0.5072 0.8365 (multiplicity 4)  4 O 1.47-1.50
S3 0.3170 0.2139 0.5987 (multiplicity 4)  4 O 1.47-1.51
S4 0.4271 0.5654 0.6181 (multiplicity 4)  4 O 1.47-1.51
N1 0.0016 0.7225 0.1540 (multiplicity 4)  5 O 2.83-3.14
N2 0.2260 0.6371 0.1243 (multiplicity 4)  2 O 2.88-2.93, 2 N 3.18-3.20
N3 0.3615 0.7261 0.3532 (multiplicity 4)  3 O 2.70-3.03
N4 0.4810 0.5699 0.1167 (multiplicity 4)  5 O 2.84-3.18
O1 0.0390 0.1221 0.1097 (multiplicity 4)  1 S 1.51
O2 0.1007 0.0334 0.9322 (multiplicity 4)  1 S 1.50
O3 0.1143 0.1220 0.7224 (multiplicity 4)  1 O 1.21
O4 0.1309 0.0167 0.3868 (multiplicity 4)  1 S 1.47
O5 0.1323 0.6532 0.3585 (multiplicity 4)  1 S 1.45
O6 0.1404 0.6342 0.5378 (multiplicity 4)  1 S 1.51
O7 0.1642 0.5798 0.7409 (multiplicity 4)  1 S 1.50
O8 0.2051 0.1122 0.7928 (multiplicity 4)  1 O 1.21
O9 0.2088 0.2321 0.0265 (multiplicity 4)  1 S 1.51
O10 0.2506 0.1020 0.3013 (multiplicity 4)  1 S 1.50
O11 0.2960 0.1017 0.6379 (multiplicity 4)  1 S 1.47
O12 0.3056 0.5700 0.9177 (multiplicity 4)  1 S 1.49
O13 0.3430 0.0054 0.0333 (multiplicity 4)  1 S 1.51
O14 0.3614 0.1984 0.1848 (multiplicity 4)  1 S 1.51
O15 0.3784 0.5696 0.7009 (multiplicity 4)  1 S 1.50
O16 0.3967 0.1922 0.5474 (multiplicity 4)  1 S 1.47
O17 0.4442 0.6817 0.5829 (multiplicity 4)  1 S 1.47
O18 0.4599 0.0112 0.8442 (multiplicity 4)  1 S 1.48



Here is a geometry-optimized Ce4Si4N6O5 structure from Materials Project. Energies are from PBE.

**ρ**: 5.012 g/cm³
**Formation enthalpy at 0 K**: -2.29 eV/atom
**Raw total energy**: -0.61998 Ry per atom

Cell: 10.3509 10.3509 10.3509 Å, 90.00 90.00 90.00°
With the nearest neighbours (Å) after each atom.
Space group P2_13 (No. 198)
Unique sites:
Ce1 0.0288 0.0288 0.0288 (multiplicity 4)  1 O 2.28, 3 N 2.55
Ce2 0.0306 0.8183 0.7114 (multiplicity 12)  4 O 2.37-2.53, 2 N 2.56-2.60
Si1 0.0726 0.5726 0.9274 (multiplicity 4)  1 O 1.67, 3 N 1.69
Si2 0.0738 0.7542 0.1960 (multiplicity 12)  1 O 1.68, 3 N 1.71-1.73
N1 0.0531 0.6467 0.0720 (multiplicity 12)  2 Si 1.69-1.71
N2 0.1203 0.6568 0.3226 (multiplicity 12)  2 Si 1.72-1.73
O1 0.0694 0.3290 0.2931 (multiplicity 12)  1 Si 1.68
O2 0.0982 0.4018 0.5982 (multiplicity 4)  4 Ce 2.28-2.53
O3 0.1657 0.6657 0.8343 (multiplicity 4)  1 Si 1.67



Here is a geometry-optimized Ce3S3N structure from Materials Project. Energies are from PBE.

**ρ**: 5.766 g/cm³
**Formation enthalpy at 0 K**: -2.19 eV/atom
**Raw total energy**: -0.54597 Ry per atom

Cell: 11.9184 3.9987 12.8239 Å, 90.00 90.00 90.00°
With the nearest neighbours (Å) after each atom.
Space group Pnma (No. 62)
Unique sites:
Ce1 0.0360 0.2500 0.1519 (multiplicity 4)  2 N 2.34
Ce2 0.0930 0.2500 0.6225 (multiplicity 4)  1 N 2.32
Ce3 0.2336 0.2500 0.8691 (multiplicity 4)  1 N 2.34
S1 0.0760 0.2500 0.3908 (multiplicity 4)  6 Ce 2.84-3.10
S2 0.1427 0.7500 0.0043 (multiplicity 4)  5 Ce 2.86-3.03
S3 0.2325 0.7500 0.7065 (multiplicity 4)  5 Ce 2.81-2.89
N1 0.0520 0.2500 0.7990 (multiplicity 4)  4 Ce 2.32-2.34



Here is a geometry-optimized Ce3Se3N structure from Materials Project. Energies are from PBE.

**ρ**: 6.467 g/cm³
**Formation enthalpy at 0 K**: -1.84 eV/atom
**Raw total energy**: -0.51584 Ry per atom

Cell: 12.6902 4.1021 13.2446 Å, 90.00 90.00 90.00°
With the nearest neighbours (Å) after each atom.
Space group Pnma (No. 62)
Unique sites:
Ce1 0.0336 0.2500 0.1552 (multiplicity 4)  2 N 2.40
Ce2 0.0798 0.2500 0.6282 (multiplicity 4)  1 N 2.26
Ce3 0.2212 0.2500 0.8661 (multiplicity 4)  1 N 2.35
Se1 0.0872 0.2500 0.3922 (multiplicity 4)  6 Ce 2.96-3.21
Se2 0.1335 0.7500 0.0043 (multiplicity 4)  5 Ce 2.97-3.13
Se3 0.2305 0.7500 0.6972 (multiplicity 4)  5 Ce 2.95-3.04
N1 0.0506 0.2500 0.7965 (multiplicity 4)  4 Ce 2.26-2.40



Here is a geometry-optimized Ce5Si3N9 structure from Materials Project. Energies are from PBE.

**ρ**: 6.462 g/cm³
**Formation enthalpy at 0 K**: -1.48 eV/atom
**Raw total energy**: -0.61798 Ry per atom

Cell: 10.5649 11.2543 15.7486 Å, 90.00 90.00 90.00°
With the nearest neighbours (Å) after each atom.
Space group Cmce (No. 64)
Unique sites:
Ce1 0.0000 0.0057 0.1118 (multiplicity 8)  1 N 2.32
Ce2 0.0000 0.0148 0.6614 (multiplicity 8)  7 N 2.41-2.66
Ce3 0.2048 0.0000 0.5000 (multiplicity 8)  4 N 2.37-2.47
Ce4 0.2122 0.2435 0.8721 (multiplicity 16)  3 N 2.40-2.65
Si1 0.0000 0.2268 0.2269 (multiplicity 8)  4 N 1.71-1.73
Si2 0.0000 0.2396 0.0161 (multiplicity 8)  4 N 1.74-1.77
Si3 0.2500 0.0340 0.2500 (multiplicity 8)  4 N 1.72-1.74
N1 0.0000 0.1358 0.4497 (multiplicity 8)  1 Si 1.75
N2 0.0000 0.1561 0.7971 (multiplicity 8)  1 Si 1.72
N3 0.0000 0.2226 0.6235 (multiplicity 8)  2 Si 1.73-1.74
N4 0.1248 0.1317 0.2416 (multiplicity 16)  2 Si 1.71-1.72
N5 0.1328 0.1452 0.0014 (multiplicity 16)  1 Si 1.77
N6 0.2350 0.0387 0.6533 (multiplicity 16)  1 Si 1.74



Q: raw total energy of number 1 (CeP4NO12)?
A: -0.53327 Ry per atom